Record 1
VASP calculation (PBE-GGA) on a geometry-optimized UH25C12NO8 structure.

a b c (Å): 11.0505 12.9158 13.8107
angles (deg): 90.00 90.00 90.00
With the nearest neighbours (Å) after each atom.
Fractional positions:
H1 0.9366 0.4015 0.2973  1 C 1.10
C1 0.6307 0.8620 0.9591  2 O 1.28
H2 0.7661 0.7297 0.7685  1 C 1.10
H3 0.2394 0.7776 0.5099  1 C 1.10
C2 0.9866 0.2665 0.9958  2 H 1.10
O1 0.2052 0.6049 0.8341  1 C 1.29
H4 0.4417 0.6869 0.8410  1 C 1.10
H5 0.9703 0.4361 0.1184  1 C 1.10
H6 0.8990 0.1183 0.5527  1 C 1.10
H7 0.1650 0.9998 0.9776  1 C 1.10
H8 0.6650 0.4998 0.5224  1 C 1.10
U1 0.6053 0.0011 0.7981  2 O 1.81-1.82
H9 0.0127 0.1668 0.8759  1 C 1.10
O2 0.7771 0.8859 0.4073  1 C 1.28
H10 0.9417 0.1869 0.6590  1 C 1.10
H11 0.7606 0.2776 0.4901  1 C 1.10
N1 0.1033 0.7928 0.9262  1 H 1.05
H12 0.0020 0.5594 0.3604  1 C 1.09
H13 0.4366 0.9015 0.2027  1 C 1.10
O3 0.0273 0.4007 0.5623  1 C 1.28
O4 0.0756 0.3924 0.7816  1 U 1.81
H14 0.0634 0.9015 0.7027  1 C 1.10
H15 0.3990 0.6183 0.9473  1 C 1.10
C3 0.0448 0.8593 0.8501  2 H 1.09-1.10
H16 0.9980 0.0594 0.6396  1 C 1.09
C4 0.4374 0.6897 0.5770  3 H 1.10
H17 0.8027 0.7221 0.5249  1 C 1.10
U2 0.8947 0.0011 0.2981  2 O 1.81-1.82
H18 0.5645 0.7347 0.4651  1 C 1.10
H19 0.3027 0.2221 0.9751  1 C 1.10
U3 0.3947 0.5011 0.2019  2 O 1.81-1.82
C5 0.7567 0.6452 0.7717  3 H 1.09-1.10
H20 0.9355 0.7347 0.9651  1 C 1.10
H21 0.8664 0.2223 0.8766  1 C 1.10
C6 0.6192 0.3638 0.7419  3 H 1.10
C7 0.7433 0.6452 0.2717  3 H 1.09-1.10
O5 0.7052 0.1049 0.6659  1 C 1.29
H22 0.0996 0.6207 0.0412  1 C 1.10
C8 0.2802 0.8378 0.4646  2 H 1.09-1.10
C9 0.7945 0.4377 0.9790  3 H 1.10
C10 0.3113 0.5683 0.8163  2 O 1.28-1.29
C11 0.2567 0.1452 0.7283  3 H 1.09-1.10
O6 0.0308 0.1144 0.2003  1 C 1.28
O7 0.9244 0.8924 0.2184  1 U 1.81
C12 0.5626 0.1897 0.4230  3 H 1.10
O8 0.8224 0.9984 0.7484  1 C 1.28
C13 0.9552 0.3593 0.1499  2 H 1.09-1.10
H23 0.0583 0.6869 0.3410  1 C 1.10
H24 0.4355 0.2347 0.5349  1 C 1.10
H25 0.6283 0.2234 0.6075  1 N 1.05
C14 0.6439 0.7905 0.0447  3 H 1.10
H26 0.3717 0.7234 0.3925  1 N 1.05
H27 0.5127 0.6668 0.6241  1 C 1.10
N2 0.3967 0.7928 0.4262  1 H 1.05
H28 0.5583 0.1869 0.1590  1 C 1.10
C15 0.1192 0.8638 0.7581  3 H 1.10
O9 0.8648 0.1106 0.3776  1 U 1.82
C16 0.3752 0.0933 0.7511  2 O 1.28
H29 0.3584 0.7856 0.2324  1 C 1.10
C17 0.0626 0.6897 0.0770  3 H 1.10
H30 0.6336 0.2223 0.3766  1 C 1.10
O10 0.3648 0.6106 0.1224  1 U 1.82
C18 0.3561 0.2905 0.9553  3 H 1.10
H31 0.2966 0.9079 0.2671  1 C 1.10
O11 0.1776 0.4984 0.2516  1 C 1.28
H32 0.5297 0.4361 0.6184  1 C 1.10
H33 0.7974 0.4622 0.4597  1 C 1.10
H34 0.5020 0.0594 0.1396  1 C 1.09
O12 0.2229 0.3859 0.5927  1 C 1.28
H35 0.1010 0.6183 0.4473  1 C 1.10
H36 0.2606 0.7776 0.0099  1 C 1.10
H37 0.2974 0.9622 0.0403  1 C 1.10
H38 0.7786 0.3501 0.5982  1 C 1.09
H39 0.7966 0.4079 0.2329  1 C 1.10
H40 0.3066 0.3306 0.8973  1 C 1.10
H41 0.5152 0.8384 0.5396  1 C 1.10
H42 0.8717 0.2234 0.1075  1 N 1.05
H43 0.1973 0.2221 0.4751  1 C 1.10
H44 0.4980 0.5594 0.8604  1 C 1.09
H45 0.8350 0.4998 0.0224  1 C 1.10
C19 0.0134 0.7665 0.0042  2 H 1.10
H46 0.2339 0.2297 0.2315  1 C 1.10
H47 0.6973 0.7221 0.0249  1 C 1.10
H48 0.0445 0.3256 0.1633  1 C 1.09
O13 0.2771 0.3859 0.0927  1 C 1.28
O14 0.6352 0.1106 0.8776  1 U 1.82
C20 0.7198 0.3378 0.5354  2 H 1.09-1.10
O15 0.4244 0.3924 0.2816  1 U 1.81
C21 0.2055 0.9377 0.0210  3 H 1.10
C22 0.7055 0.4377 0.4790  3 H 1.10
O16 0.6776 0.9984 0.2484  1 C 1.28
H49 0.3350 0.9998 0.4776  1 C 1.10
H50 0.7034 0.4079 0.7329  1 C 1.10
O17 0.7229 0.8859 0.9073  1 C 1.28
C23 0.2198 0.8378 0.9646  2 H 1.09-1.10
C24 0.2945 0.9377 0.5210  3 H 1.10
O18 0.1161 0.0282 0.3206  1 C 1.28
C25 0.5808 0.1098 0.1301  3 H 1.09-1.10
C26 0.1248 0.0933 0.2511  2 O 1.28
N3 0.8967 0.2928 0.0738  1 H 1.05
O19 0.7948 0.1049 0.1659  1 C 1.29
H51 0.2661 0.2297 0.7315  1 C 1.10
H52 0.2026 0.9622 0.5403  1 C 1.10
C27 0.4552 0.8593 0.3501  2 H 1.09-1.10
C28 0.9374 0.1897 0.9230  3 H 1.10
H53 0.3479 0.9285 0.5875  1 C 1.10
H54 0.5445 0.8256 0.3367  1 C 1.09
H55 0.1283 0.7234 0.8925  1 N 1.05
H56 0.9446 0.7659 0.5721  1 C 1.10
C29 0.8752 0.5933 0.7489  2 O 1.28
O20 0.3839 0.0282 0.8206  1 C 1.28
H57 0.5634 0.4015 0.7973  1 C 1.10
H58 0.3664 0.7223 0.6234  1 C 1.10
H59 0.4446 0.2659 0.9279  1 C 1.10
O21 0.5756 0.8924 0.7184  1 U 1.81
C30 0.1439 0.2905 0.4553  3 H 1.10
H60 0.8584 0.2856 0.2676  1 C 1.10
H61 0.6416 0.2856 0.7676  1 C 1.10
H62 0.0152 0.3384 0.9604  1 C 1.10
H63 0.4848 0.3384 0.4604  1 C 1.10
H64 0.6934 0.8306 0.1027  1 C 1.10
H65 0.5554 0.7659 0.0721  1 C 1.10
H66 0.4004 0.6207 0.5412  1 C 1.10
C31 0.3693 0.3620 0.0409  2 O 1.28
H67 0.2214 0.8501 0.4018  1 C 1.09
H68 0.2294 0.1262 0.6539  1 C 1.10
H69 0.8140 0.6206 0.2213  1 C 1.09
H70 0.6010 0.1183 0.0527  1 C 1.10
C32 0.6248 0.5933 0.2489  2 O 1.28
H71 0.2786 0.8501 0.9018  1 C 1.09
C33 0.2433 0.1452 0.2283  3 H 1.09-1.10
C34 0.3808 0.8638 0.2581  3 H 1.10
C35 0.4866 0.7665 0.5042  2 H 1.10
C36 0.8113 0.0683 0.6837  2 O 1.28-1.29
H72 0.1416 0.7856 0.7324  1 C 1.10
H73 0.7339 0.7297 0.2685  1 C 1.10
H74 0.7026 0.4622 0.9597  1 C 1.10
O22 0.2948 0.6049 0.3341  1 C 1.29
O23 0.9692 0.6144 0.7997  1 C 1.28
H75 0.9873 0.6668 0.1241  1 C 1.10
H76 0.8066 0.8306 0.6027  1 C 1.10
C37 0.8693 0.8620 0.4591  2 O 1.28
O24 0.6161 0.5282 0.1794  1 C 1.28
C38 0.9192 0.1098 0.6301  3 H 1.09-1.10
H77 0.5996 0.1207 0.4588  1 C 1.10
U4 0.1053 0.5011 0.7019  2 O 1.81-1.82
H78 0.4703 0.9361 0.3816  1 C 1.10
H79 0.7706 0.6262 0.3461  1 C 1.10
O25 0.1352 0.6106 0.6224  1 U 1.82
O26 0.3224 0.4984 0.7516  1 C 1.28
O27 0.9727 0.9007 0.4377  1 C 1.28
H80 0.0297 0.9361 0.8816  1 C 1.10
N4 0.6033 0.2928 0.5738  1 H 1.05
C39 0.5134 0.2665 0.4958  2 H 1.10
H81 0.8479 0.4285 0.9125  1 C 1.10
C40 0.8808 0.3638 0.2419  3 H 1.10
H82 0.7394 0.2776 0.9901  1 C 1.10
H83 0.9848 0.8384 0.0396  1 C 1.10
C41 0.8561 0.7905 0.5447  3 H 1.10
H84 0.4555 0.3256 0.6633  1 C 1.09
H85 0.7214 0.3501 0.0982  1 C 1.09
H86 0.1860 0.1206 0.7787  1 C 1.09
H87 0.6860 0.6206 0.7213  1 C 1.09
H88 0.1521 0.9285 0.0875  1 C 1.10
O28 0.5308 0.6144 0.2997  1 C 1.28
H89 0.9004 0.1207 0.9588  1 C 1.10
H90 0.0554 0.2659 0.4279  1 C 1.10
O29 0.8839 0.5282 0.6794  1 C 1.28
O30 0.4692 0.1144 0.7003  1 C 1.28
H91 0.2034 0.9079 0.7671  1 C 1.10
C42 0.0808 0.6098 0.3699  3 H 1.09-1.10
C43 0.7802 0.3378 0.0354  2 H 1.09-1.10
O31 0.5273 0.9007 0.9377  1 C 1.28
C44 0.1887 0.5683 0.3163  2 O 1.28-1.29
H92 0.0645 0.2347 0.0349  1 C 1.10
O32 0.4727 0.4007 0.0623  1 C 1.28
H93 0.7294 0.6262 0.8461  1 C 1.10
C45 0.6887 0.0683 0.1837  2 O 1.28-1.29
H94 0.1934 0.3306 0.3973  1 C 1.10
H95 0.1336 0.7223 0.1234  1 C 1.10
H96 0.9555 0.8256 0.8367  1 C 1.09
C46 0.4192 0.6098 0.8699  3 H 1.09-1.10
H97 0.4873 0.1668 0.3759  1 C 1.10
H98 0.2706 0.1262 0.1539  1 C 1.10
H99 0.6521 0.4285 0.4125  1 C 1.10
H100 0.3140 0.1206 0.2787  1 C 1.09
C47 0.5448 0.3593 0.6499  2 H 1.09-1.10
C48 0.1307 0.3620 0.5409  2 O 1.28

## Properties
Its volume is 1971.1 Å³/cell. As for the space-group type: Pna2_1 (33). For the formation energy, the calculation gives -0.74 eV/atom.

***

Record 2
VASP calculation (PBE-GGA) on a geometry-optimized UH18C7N8O12 structure.

a b c (Å): 7.5624 9.9368 14.6250
angles (deg): 73.11 78.37 71.55
With the nearest neighbours (Å) after each atom.
Fractional positions:
N1 0.0490 0.3291 0.6668  2 H 1.02
N2 0.9093 0.7323 0.1715  2 H 1.02-1.03
C1 0.2618 0.0503 0.0468  2 O 1.24-1.30
H1 0.2666 0.5278 0.5182  1 N 1.02
N3 0.7402 0.3252 0.0076  2 H 1.02-1.03
C2 0.7107 0.2768 0.4710  3 N 1.34-1.35
N4 0.2598 0.6748 0.9924  2 H 1.02-1.03
O1 0.2541 0.0212 0.9711  1 C 1.24
O2 0.7459 0.9788 0.0289  1 C 1.24
O3 0.3341 0.7967 0.1416  1 C 1.25
H2 0.2780 0.8975 0.4096  1 N 1.03
O4 0.2223 0.3801 0.3144  1 C 1.30
H3 0.8935 0.6805 0.4015  1 N 1.02
C3 0.8690 0.7644 0.2573  3 N 1.34
N5 0.7462 0.8912 0.2683  2 H 1.02
H4 0.6819 0.9662 0.2127  1 N 1.02
O5 0.2073 0.4705 0.1017  1 C 1.29
H5 0.7484 0.6318 0.0387  1 N 1.02
H6 0.2895 0.9073 0.5651  1 N 1.03
H7 0.3286 0.5274 0.6280  1 N 1.03
N6 0.2869 0.7880 0.4352  2 H 1.01-1.03
C4 0.2893 0.7232 0.5290  3 N 1.34-1.35
C5 0.7018 0.0718 0.8584  2 O 1.25-1.29
O6 0.6659 0.2033 0.8584  1 C 1.25
O7 0.5085 0.5499 0.2713  2 H 0.98-0.99
C6 0.7528 0.8389 0.5586  2 O 1.25-1.29
C7 0.2247 0.3277 0.4065  2 O 1.24-1.30
H8 0.0086 0.6386 0.1619  1 N 1.02
H9 0.2984 0.7295 0.3868  1 N 1.01
C8 0.2472 0.1611 0.4414  2 O 1.25-1.29
H10 0.2516 0.3682 0.9613  1 N 1.02
H11 0.7276 0.2817 0.9545  1 N 1.03
H12 0.3181 0.0338 0.7873  1 N 1.02
N7 0.0907 0.2677 0.8285  2 H 1.02-1.03
O8 0.4915 0.4501 0.7287  2 H 0.98-0.99
O9 0.4926 0.1974 0.1870  1 U 1.82
N8 0.9510 0.6709 0.3332  2 H 1.02
H13 0.7220 0.1025 0.5904  1 N 1.03
C9 0.1310 0.2356 0.7427  3 N 1.34
H14 0.7334 0.4722 0.4818  1 N 1.02
H15 0.7188 0.9129 0.3344  1 N 1.02
O10 0.9837 0.2630 0.2282  1 U 1.82
H16 0.2812 0.0871 0.6656  1 N 1.02
H17 0.3010 0.7256 0.9238  1 N 1.02
O11 0.7586 0.8202 0.9422  1 C 1.30
H18 0.9607 0.4280 0.6741  1 N 1.02
H19 0.6714 0.4726 0.3720  1 N 1.03
H20 0.7105 0.0927 0.4349  1 N 1.03
H21 0.2488 0.7630 0.6605  1 N 1.02
C10 0.2429 0.5386 0.0131  1 O 1.29, 2 N 1.34
C11 0.7753 0.6723 0.5935  2 O 1.24-1.30
H22 0.2907 0.5205 0.8717  1 N 1.02
H23 0.8589 0.8126 0.1126  1 N 1.03
O12 0.0163 0.7370 0.7718  1 U 1.82
N9 0.7433 0.5259 0.0579  2 H 1.02
O13 0.2095 0.4002 0.4654  1 C 1.24
O14 0.2549 0.0997 0.5285  1 C 1.25
O15 0.7441 0.9007 0.6261  1 C 1.29
O16 0.7125 0.0210 0.7853  1 C 1.29
H24 0.5822 0.5069 0.7172  1 O 0.98
N10 0.3023 0.7965 0.5906  2 H 1.02-1.03
H25 0.6990 0.2744 0.0762  1 N 1.02
O17 0.7777 0.6199 0.6856  1 C 1.30
H26 0.1065 0.3195 0.5985  1 N 1.02
H27 0.7016 0.2705 0.6132  1 N 1.01
H28 0.4506 0.6451 0.2280  1 O 0.99
O18 0.7927 0.5295 0.8983  1 C 1.29
N11 0.2538 0.1088 0.7317  2 H 1.02
O19 0.2875 0.9790 0.2147  1 C 1.29
H29 0.7093 0.4795 0.1283  1 N 1.02
C12 0.7382 0.9497 0.9532  2 O 1.24-1.30
O20 0.7451 0.9003 0.4715  1 C 1.25
H30 0.2724 0.7183 0.0455  1 N 1.03
U1 0.2379 0.2306 0.2059  2 O 1.82
O21 0.2414 0.1798 0.0578  1 C 1.30
H31 0.9914 0.3614 0.8381  1 N 1.02
H32 0.7512 0.2370 0.3395  1 N 1.02
U2 0.7621 0.7694 0.7941  2 O 1.82
H33 0.4178 0.4931 0.2828  1 O 0.98
H34 0.5494 0.3549 0.7720  1 O 0.99
N12 0.6977 0.2035 0.4094  2 H 1.02-1.03
N13 0.2794 0.5850 0.5633  2 H 1.02-1.03
O22 0.5074 0.8026 0.8130  1 U 1.82
N14 0.7206 0.4150 0.4367  2 H 1.02-1.03
H35 0.1411 0.1874 0.8874  1 N 1.03
H36 0.0393 0.5720 0.3259  1 N 1.02
C13 0.2982 0.9282 0.1416  2 O 1.25-1.29
N15 0.7131 0.2120 0.5648  2 H 1.01-1.03
C14 0.7571 0.4614 0.9869  1 O 1.29, 2 N 1.34
N16 0.2567 0.4741 0.9421  2 H 1.02
O23 0.2559 0.0993 0.3739  1 C 1.29
O24 0.7905 0.5998 0.5346  1 C 1.24

## Properties
Its volume is 990.3 Å³/cell. As for the space-group type: P-1 (2). For the formation energy, the calculation gives -1.05 eV/atom.

***

Record 3
VASP calculation (PBE-GGA) on a geometry-optimized UH16C3N4O11 structure.

a b c (Å): 7.2684 7.2684 12.8256
angles (deg): 86.55 86.55 81.07
With the nearest neighbours (Å) after each atom.
Fractional positions:
U1 0.1930 0.8070 0.7500  2 O 1.83
O1 0.9496 0.8978 0.1693  1 C 1.31
O2 0.2075 0.1505 0.4766  1 C 1.28
C1 0.4989 0.5011 0.7500  3 O 1.28-1.31
H1 0.2738 0.5665 0.1087  1 N 1.04
H2 0.6637 0.1256 0.8487  1 N 1.03
O3 0.6342 0.3658 0.7500  1 C 1.28
H3 0.6486 0.0812 0.5391  1 N 1.05
H4 0.7220 0.9440 0.7775  1 N 1.04
O4 0.5409 0.3902 0.1710  1 C 1.31
N1 0.6611 0.9843 0.8498  4 H 1.03-1.05
O5 0.6584 0.0474 0.3258  1 U 1.83
N2 0.5638 0.2119 0.5381  4 H 1.03-1.05
H5 0.2780 0.0560 0.2225  1 N 1.04
O6 0.7091 0.0629 0.0918  1 C 1.31
H6 0.1952 0.4280 0.0241  1 N 1.04
H7 0.7262 0.4335 0.8913  1 N 1.04
O7 0.3902 0.5409 0.6710  1 C 1.31
H8 0.5665 0.2738 0.6087  1 N 1.04
U2 0.8070 0.1930 0.2500  2 O 1.83
H9 0.4335 0.7262 0.3913  1 N 1.04
N3 0.0157 0.3389 0.6502  4 H 1.03-1.05
C2 0.5011 0.4989 0.2500  3 O 1.28-1.31
H10 0.3514 0.9188 0.4609  1 N 1.05
N4 0.2119 0.5638 0.0381  4 H 1.03-1.05
H11 0.4764 0.0401 0.1388  1 N 1.04
H12 0.0560 0.2780 0.7225  1 N 1.04
H13 0.2946 0.6102 0.9771  1 N 1.03
H14 0.9440 0.7220 0.2775  1 N 1.04
O8 0.1505 0.2075 0.9766  1 C 1.28
O9 0.0504 0.1022 0.8307  1 C 1.31
O10 0.2909 0.9371 0.9082  1 C 1.31
H15 0.9143 0.7382 0.4106  1 N 1.05
N5 0.4362 0.7881 0.4619  4 H 1.03-1.05
N6 0.3389 0.0157 0.1502  4 H 1.03-1.05
H16 0.5236 0.9599 0.8612  1 N 1.04
H17 0.8048 0.5720 0.9759  1 N 1.04
O11 0.3416 0.9526 0.6742  1 U 1.83
H18 0.3898 0.7054 0.5229  1 N 1.03
O12 0.4591 0.6098 0.8290  1 C 1.31
O13 0.9371 0.2909 0.4082  1 C 1.31
H19 0.2618 0.0857 0.0894  1 N 1.05
C3 0.8357 0.9129 0.0931  3 O 1.28-1.31
H20 0.3363 0.8744 0.1513  1 N 1.03
H21 0.0401 0.4764 0.6388  1 N 1.04
H22 0.1256 0.6637 0.3487  1 N 1.03
H23 0.0857 0.2618 0.5894  1 N 1.05
O14 0.9526 0.3416 0.1742  1 U 1.83
H24 0.9188 0.3514 0.9609  1 N 1.05
O15 0.8978 0.9496 0.6693  1 C 1.31
C4 0.9129 0.8357 0.5931  3 O 1.28-1.31
H25 0.6102 0.2946 0.4771  1 N 1.03
O16 0.0474 0.6584 0.8258  1 U 1.83
H26 0.0812 0.6486 0.0391  1 N 1.05
H27 0.5720 0.8048 0.4759  1 N 1.04
O17 0.6098 0.4591 0.3290  1 C 1.31
O18 0.7925 0.8495 0.5234  1 C 1.28
H28 0.7054 0.3898 0.0229  1 N 1.03
N7 0.9843 0.6611 0.3498  4 H 1.03-1.05
N8 0.7881 0.4362 0.9619  4 H 1.03-1.05
O19 0.3658 0.6342 0.2500  1 C 1.28
C5 0.0871 0.1643 0.4069  3 O 1.28-1.31
H29 0.7382 0.9143 0.9106  1 N 1.05
O20 0.8495 0.7925 0.0234  1 C 1.28
O21 0.1022 0.0504 0.3307  1 C 1.31
O22 0.0629 0.7091 0.5918  1 C 1.31
H30 0.4280 0.1952 0.5241  1 N 1.04
C6 0.1643 0.0871 0.9069  3 O 1.28-1.31
H31 0.8744 0.3363 0.6513  1 N 1.03
H32 0.9599 0.5236 0.3612  1 N 1.04

## Properties
Its volume is 667.3 Å³/cell. As for the space-group type: C2/c (15). For the formation energy, the calculation gives -1.31 eV/atom.

***

volume of number 2 (UH18C7N8O12)?
990.3 Å³/cell

***

What is the volume in the third record?
667.3 Å³/cell

***

Which of these has the highest volume?
UH25C12NO8

***

The lowest volume belongs to which entry?
UH16C3N4O11